[1]
Na2Sm2MgTi3O10: optimized geometry, PBE.

a = 15.883 Å, b = 15.883 Å, c = 15.883 Å
α = 165.84°, β = 165.84°, γ = 20.08°
Element x y z (fractional)
Na1 0.216 0.216 0.000
Na2 0.784 0.784 0.000
Sm1 0.097 0.097 0.000
Sm2 0.903 0.903 0.000
Mg1 0.000 0.000 0.000
Ti1 0.345 0.345 0.000
Ti2 0.500 0.500 0.000
Ti3 0.655 0.655 0.000
O1 0.000 0.500 0.500
O2 0.140 0.640 0.500
O3 0.289 0.289 0.000
O4 0.360 0.860 0.500
O5 0.433 0.433 0.000
O6 0.500 0.000 0.500
O7 0.567 0.567 0.000
O8 0.640 0.140 0.500
O9 0.711 0.711 0.000
O10 0.860 0.360 0.500

Output
The energy relative to the elements comes out at -53.78 eV/f.u. For the energy above the lowest structure with this stoichiometry, the calculation gives 2.15 eV/f.u. Its total energy is -7.43 eV per atom.

---

[2]
Na2Sm2MgTi3O10: optimized geometry, PBE.

a = 13.845 Å, b = 13.845 Å, c = 13.845 Å
α = 163.69°, β = 163.69°, γ = 23.14°
Element x y z (fractional)
Na1 0.189 0.189 0.000
Na2 0.811 0.811 0.000
Sm1 0.072 0.072 0.000
Sm2 0.928 0.928 0.000
Mg1 0.250 0.750 0.500
Ti1 0.355 0.355 0.000
Ti2 0.500 0.500 0.000
Ti3 0.645 0.645 0.000
O1 0.001 0.501 0.500
O2 0.142 0.642 0.500
O3 0.280 0.280 0.000
O4 0.358 0.858 0.500
O5 0.428 0.428 0.000
O6 0.499 0.999 0.500
O7 0.572 0.572 0.000
O8 0.635 0.135 0.500
O9 0.720 0.720 0.000
O10 0.865 0.365 0.500

Output
The energy relative to the elements comes out at -54.94 eV/f.u. For the energy above the lowest structure with this stoichiometry, the calculation gives 0.98 eV/f.u. Its total energy is -7.50 eV per atom.

---

[3]
NaMg6TiO8: optimized geometry, PBE.

a = 4.266 Å, b = 4.266 Å, c = 8.700 Å
α = 90.00°, β = 90.00°, γ = 90.00°
Element x y z (fractional)
Na1 0.000 0.000 0.000
Mg1 0.000 0.000 0.500
Mg2 0.000 0.500 0.252
Mg3 0.000 0.500 0.748
Mg4 0.500 0.000 0.252
Mg5 0.500 0.000 0.748
Mg6 0.500 0.500 0.500
Ti1 0.500 0.500 0.000
O1 0.000 0.000 0.265
O2 0.000 0.000 0.735
O3 0.000 0.500 0.000
O4 0.000 0.500 0.500
O5 0.500 0.000 0.000
O6 0.500 0.000 0.500
O7 0.500 0.500 0.244
O8 0.500 0.500 0.756

Output
The energy relative to the elements comes out at -46.39 eV/f.u. For the energy above the lowest structure with this stoichiometry, the calculation gives 0.00 eV/f.u. Its total energy is -6.21 eV per atom.

---

[4]
NaMg14TiO16: optimized geometry, PBE.

a = 4.275 Å, b = 8.567 Å, c = 8.572 Å
α = 90.00°, β = 90.00°, γ = 90.00°
Element x y z (fractional)
Na1 0.000 0.000 0.000
Mg1 0.000 0.252 0.244
Mg2 0.000 0.252 0.756
Mg3 0.000 0.500 0.000
Mg4 0.000 0.500 0.500
Mg5 0.000 0.748 0.244
Mg6 0.000 0.748 0.756
Mg7 0.500 0.000 0.241
Mg8 0.500 0.000 0.759
Mg9 0.500 0.247 0.000
Mg10 0.500 0.253 0.500
Mg11 0.500 0.500 0.248
Mg12 0.500 0.500 0.752
Mg13 0.500 0.747 0.500
Mg14 0.500 0.753 0.000
Ti1 0.000 0.000 0.500
O1 0.000 0.000 0.268
O2 0.000 0.000 0.732
O3 0.000 0.247 0.500
O4 0.000 0.264 0.000
O5 0.000 0.500 0.255
O6 0.000 0.500 0.745
O7 0.000 0.736 0.000
O8 0.000 0.753 0.500
O9 0.500 0.000 0.000
O10 0.500 0.000 0.500
O11 0.500 0.249 0.252
O12 0.500 0.249 0.748
O13 0.500 0.500 0.000
O14 0.500 0.500 0.500
O15 0.500 0.751 0.252
O16 0.500 0.751 0.748

Output
The energy relative to the elements comes out at -95.33 eV/f.u. For the energy above the lowest structure with this stoichiometry, the calculation gives 0.00 eV/f.u. Its total energy is -6.10 eV per atom.